TePb2S | Materials Project | PBE-GGA | optimized geometry; energy relative to the elements = -0.573 eV/atom; E above lowest polymorph = 0 meV/atom; energy = -4.123 eV/atom; calculated volume = 31.041 Å³ per atom; crystal system = trigonal
1.0
-0.7990 -2.5961 -7.2049
-2.9593 -5.4468 -4.5677
-4.8764 -1.6119 -5.7369
S Pb Te
1 2 1
Direct
0.0000 0.0000 0.0000
0.2583 0.2583 0.2583
0.7417 0.7417 0.7417
0.5000 0.5000 0.5000

=====

TePb2S | Materials Project | PBE-GGA | optimized geometry; energy relative to the elements = -0.512 eV/atom; E above lowest polymorph = 60 meV/atom; energy = -4.063 eV/atom; calculated volume = 31.788 Å³ per atom; crystal system = tetragonal
1.0
-1.8594 -3.6410 1.8185
0.8691 -2.3084 -3.7332
5.6433 -1.7006 2.3653
S Pb Te
1 2 1
Direct
0.0000 0.0000 0.5000
0.0000 0.0000 0.0000
0.5000 0.5000 0.5000
0.5000 0.5000 0.0000

=====

ZrTl2PbS4 | Materials Project | PBE-GGA | optimized geometry; energy relative to the elements = -1.130 eV/atom; energy = -5.070 eV/atom; calculated volume = 26.438 Å³ per atom; crystal system = monoclinic
1.0
4.1541 7.8210 0.0000
-4.1541 7.8210 0.0000
0.0000 2.2319 6.5099
Tl S Pb Zr
4 8 2 2
Direct
0.1247 0.3762 0.7339
0.6238 0.8753 0.7661
0.3762 0.1247 0.2339
0.8753 0.6238 0.2661
0.0075 0.8002 0.5021
0.9925 0.1998 0.4979
0.5551 0.2332 0.4633
0.8002 0.0075 0.0021
0.4449 0.7668 0.5367
0.7668 0.4449 0.0367
0.1998 0.9925 0.9979
0.2332 0.5551 0.9633
0.6248 0.3752 0.7500
0.3752 0.6248 0.2500
0.1231 0.8769 0.7500
0.8769 0.1231 0.2500